Mn6O5F7 GGA+U optimized geometry; uncorrected energy = -6.654 eV per atom; formation energy = -43.34 eV per formula unit; magnetization = 1.39 μB/atom; space-group type = Pc; energy relative to the lowest polymorph listed for this composition = 0.0328 eV per atom
1.0
4.7422 0.0000 0.0000
0.0000 5.7410 0.0000
-0.1350 0.0000 15.6309
Mn O F
12 10 14
direct
0.0000 0.1251 0.0000 Mn
0.0000 0.8749 0.5000 Mn
0.4968 0.3638 0.8310 Mn
0.4968 0.6362 0.3310 Mn
0.4992 0.3149 0.4951 Mn
0.4992 0.6851 0.9951 Mn
0.5276 0.3443 0.1688 Mn
0.5276 0.6557 0.6688 Mn
0.9559 0.1542 0.6693 Mn
0.9559 0.8458 0.1693 Mn
0.9643 0.1659 0.3347 Mn
0.9643 0.8341 0.8347 Mn
0.1899 0.1220 0.4393 O
0.1899 0.8780 0.9393 O
0.6928 0.3825 0.3871 O
0.6928 0.6175 0.8871 O
0.7057 0.3954 0.7236 O
0.7057 0.6046 0.2236 O
0.7682 0.1209 0.2256 O
0.7682 0.8791 0.7256 O
0.7773 0.1093 0.5593 O
0.7773 0.8907 0.0593 O
0.2086 0.1318 0.7781 F
0.2086 0.8682 0.2781 F
0.2385 0.3795 0.2741 F
0.2385 0.6205 0.7741 F
0.2537 0.3641 0.9431 F
0.2537 0.6359 0.4431 F
0.2588 0.1136 0.1162 F
0.2588 0.8864 0.6162 F
0.2768 0.3949 0.6080 F
0.2768 0.6051 0.1080 F
0.7392 0.1124 0.8884 F
0.7392 0.8876 0.3884 F
0.7478 0.3784 0.0487 F
0.7478 0.6216 0.5487 F